Below is a relaxed Tb2Ni10B5 crystal, with properties calculated at the PBE level.

Unit cell a=9.0221 b=9.4912 c=17.5917 alpha=90.00 beta=90.00 gamma=90.00
Closest atoms and distances in Å follow each position.
Sites, in units of the cell vectors:
Tb 0.1250 0.8581 0.2781  5 B 2.72-3.04, 11 Ni 2.81-3.00
Tb 0.3750 0.1419 0.7781  5 B 2.72-3.04, 11 Ni 2.81-3.00
Tb 0.6250 0.6419 0.7219  5 B 2.72-3.04, 11 Ni 2.81-3.00
Tb 0.8750 0.3581 0.2219  5 B 2.72-3.04, 11 Ni 2.81-3.00
Tb 0.8750 0.1419 0.7219  5 B 2.72-3.04, 11 Ni 2.81-3.00
Tb 0.6250 0.8581 0.2219  5 B 2.72-3.04, 11 Ni 2.81-3.00
Tb 0.3750 0.3581 0.2781  5 B 2.72-3.04, 11 Ni 2.81-3.00
Tb 0.1250 0.6419 0.7781  5 B 2.72-3.04, 11 Ni 2.81-3.00
Tb 0.2187 0.8871 0.4798  3 B 2.75-2.86, 11 Ni 2.77-3.04
Tb 0.2813 0.1129 0.9798  3 B 2.75-2.86, 11 Ni 2.77-3.04
Tb 0.7187 0.6129 0.5202  3 B 2.75-2.86, 11 Ni 2.77-3.04
Tb 0.7813 0.3871 0.0202  3 B 2.75-2.86, 11 Ni 2.77-3.04
Tb 0.7813 0.1129 0.5202  3 B 2.75-2.86, 11 Ni 2.77-3.04
Tb 0.7187 0.8871 0.0202  3 B 2.75-2.86, 11 Ni 2.77-3.04
Tb 0.2813 0.3871 0.4798  3 B 2.75-2.86, 11 Ni 2.77-3.04
Tb 0.2187 0.6129 0.9798  3 B 2.75-2.86, 11 Ni 2.77-3.04
Ni 0.1216 0.9613 0.7271  2 B 1.93-2.13
Ni 0.3784 0.0387 0.2271  2 B 1.93-2.13
Ni 0.6216 0.5387 0.2729  2 B 1.93-2.13
Ni 0.8784 0.4613 0.7729  2 B 1.93-2.13
Ni 0.8784 0.0387 0.2729  2 B 1.93-2.13
Ni 0.6216 0.9613 0.7729  2 B 1.93-2.13
Ni 0.3784 0.4613 0.7271  2 B 1.93-2.13
Ni 0.1216 0.5387 0.2271  2 B 1.93-2.13
Ni 0.1264 0.1763 0.2371  3 B 2.02-2.10
Ni 0.3736 0.8237 0.7371  3 B 2.02-2.10
Ni 0.6264 0.3237 0.7629  3 B 2.02-2.10
Ni 0.8736 0.6763 0.2629  3 B 2.02-2.10
Ni 0.8736 0.8237 0.7629  3 B 2.02-2.10
Ni 0.6264 0.1763 0.2629  3 B 2.02-2.10
Ni 0.3736 0.6763 0.2371  3 B 2.02-2.10
Ni 0.1264 0.3237 0.7371  3 B 2.02-2.10
Ni 0.0789 0.8865 0.0155  3 B 1.97-2.07
Ni 0.4211 0.1135 0.5155  3 B 1.97-2.07
Ni 0.5789 0.6135 0.9845  3 B 1.97-2.07
Ni 0.9211 0.3865 0.4845  3 B 1.97-2.07
Ni 0.9211 0.1135 0.9845  3 B 1.97-2.07
Ni 0.5789 0.8865 0.4845  3 B 1.97-2.07
Ni 0.4211 0.3865 0.0155  3 B 1.97-2.07
Ni 0.0789 0.6135 0.5155  3 B 1.97-2.07
Ni 0.1617 0.7812 0.6278  3 B 2.06-2.10
Ni 0.3383 0.2188 0.1278  3 B 2.06-2.10
Ni 0.6617 0.7188 0.3722  3 B 2.06-2.10
Ni 0.8383 0.2812 0.8722  3 B 2.06-2.10
Ni 0.8383 0.2188 0.3722  3 B 2.06-2.10
Ni 0.6617 0.7812 0.8722  3 B 2.06-2.10
Ni 0.3383 0.2812 0.6278  3 B 2.06-2.10
Ni 0.1617 0.7188 0.1278  3 B 2.06-2.10
Ni 0.1769 0.9943 0.1314  4 B 2.05-2.14
Ni 0.3231 0.0057 0.6314  4 B 2.05-2.14
Ni 0.6769 0.5057 0.8686  4 B 2.05-2.14
Ni 0.8231 0.4943 0.3686  4 B 2.05-2.14
Ni 0.8231 0.0057 0.8686  4 B 2.05-2.14
Ni 0.6769 0.9943 0.3686  4 B 2.05-2.14
Ni 0.3231 0.4943 0.1314  4 B 2.05-2.14
Ni 0.1769 0.5057 0.6314  4 B 2.05-2.14
Ni 0.2302 0.8930 0.8651  3 B 2.04-2.13
Ni 0.2698 0.1070 0.3651  3 B 2.04-2.13
Ni 0.7302 0.6070 0.1349  3 B 2.04-2.13
Ni 0.7698 0.3930 0.6349  3 B 2.04-2.13
Ni 0.7698 0.1070 0.1349  3 B 2.04-2.13
Ni 0.7302 0.8930 0.6349  3 B 2.04-2.13
Ni 0.2698 0.3930 0.8651  3 B 2.04-2.13
Ni 0.2302 0.6070 0.3651  3 B 2.04-2.13
Ni 0.0892 0.1470 0.8499  3 B 2.04-2.14
Ni 0.4108 0.8530 0.3499  3 B 2.04-2.14
Ni 0.5892 0.3530 0.1501  3 B 2.04-2.14
Ni 0.9108 0.6470 0.6501  3 B 2.04-2.14
Ni 0.9108 0.8530 0.1501  3 B 2.04-2.14
Ni 0.5892 0.1470 0.6501  3 B 2.04-2.14
Ni 0.4108 0.6470 0.8499  3 B 2.04-2.14
Ni 0.0892 0.3530 0.3499  3 B 2.04-2.14
Ni 0.0439 0.0215 0.5964  3 B 2.04-2.05
Ni 0.4561 0.9785 0.0964  3 B 2.04-2.05
Ni 0.5439 0.4785 0.4036  3 B 2.04-2.05
Ni 0.9561 0.5215 0.9036  3 B 2.04-2.05
Ni 0.9561 0.9785 0.4036  3 B 2.04-2.05
Ni 0.5439 0.0215 0.9036  3 B 2.04-2.05
Ni 0.4561 0.5215 0.5964  3 B 2.04-2.05
Ni 0.0439 0.4785 0.0964  3 B 2.04-2.05
Ni 0.0447 0.2180 0.0988  4 B 2.05-2.09
Ni 0.4553 0.7820 0.5988  4 B 2.05-2.09
Ni 0.5447 0.2820 0.9012  4 B 2.05-2.09
Ni 0.9553 0.7180 0.4012  4 B 2.05-2.09
Ni 0.9553 0.7820 0.9012  4 B 2.05-2.09
Ni 0.5447 0.2180 0.4012  4 B 2.05-2.09
Ni 0.4553 0.7180 0.0988  4 B 2.05-2.09
Ni 0.0447 0.2820 0.5988  4 B 2.05-2.09
Ni 0.0819 0.1667 0.4689  2 B 2.02-2.22
Ni 0.4181 0.8333 0.9689  2 B 2.02-2.22
Ni 0.5819 0.3333 0.5311  2 B 2.02-2.22
Ni 0.9181 0.6667 0.0311  2 B 2.02-2.22
Ni 0.9181 0.8333 0.5311  2 B 2.02-2.22
Ni 0.5819 0.1667 0.0311  2 B 2.02-2.22
Ni 0.4181 0.6667 0.4689  2 B 2.02-2.22
Ni 0.0819 0.3333 0.9689  2 B 2.02-2.22
B 0.9762 0.0645 0.1766  1 B 1.73, 1 Ni 1.93
B 0.5238 0.9355 0.6766  1 B 1.73, 1 Ni 1.93
B 0.4762 0.4355 0.8234  1 B 1.73, 1 Ni 1.93
B 0.0238 0.5645 0.3234  1 B 1.73, 1 Ni 1.93
B 0.0238 0.9355 0.8234  1 B 1.73, 1 Ni 1.93
B 0.4762 0.0645 0.3234  1 B 1.73, 1 Ni 1.93
B 0.5238 0.5645 0.1766  1 B 1.73, 1 Ni 1.93
B 0.9762 0.4355 0.6766  1 B 1.73, 1 Ni 1.93
B 0.1671 0.1498 0.6661  1 B 1.89, 5 Ni 2.05-2.10
B 0.3329 0.8502 0.1661  1 B 1.89, 5 Ni 2.05-2.10
B 0.6671 0.3502 0.3339  1 B 1.89, 5 Ni 2.05-2.10
B 0.8329 0.6498 0.8339  1 B 1.89, 5 Ni 2.05-2.10
B 0.8329 0.8502 0.3339  1 B 1.89, 5 Ni 2.05-2.10
B 0.6671 0.1498 0.8339  1 B 1.89, 5 Ni 2.05-2.10
B 0.3329 0.6498 0.6661  1 B 1.89, 5 Ni 2.05-2.10
B 0.1671 0.3502 0.1661  1 B 1.89, 5 Ni 2.05-2.10
B 0.0466 0.1419 0.3445  7 Ni 2.04-2.22
B 0.4534 0.8581 0.8445  7 Ni 2.04-2.22
B 0.5466 0.3581 0.6555  7 Ni 2.04-2.22
B 0.9534 0.6419 0.1555  7 Ni 2.04-2.22
B 0.9534 0.8581 0.6555  7 Ni 2.04-2.22
B 0.5466 0.1419 0.1555  7 Ni 2.04-2.22
B 0.4534 0.6419 0.3445  7 Ni 2.04-2.22
B 0.0466 0.3581 0.8445  7 Ni 2.04-2.22
B 0.2132 0.1483 0.5611  1 B 1.89, 6 Ni 2.02-2.09
B 0.2868 0.8517 0.0611  1 B 1.89, 6 Ni 2.02-2.09
B 0.7132 0.3517 0.4389  1 B 1.89, 6 Ni 2.02-2.09
B 0.7868 0.6483 0.9389  1 B 1.89, 6 Ni 2.02-2.09
B 0.7868 0.8517 0.4389  1 B 1.89, 6 Ni 2.02-2.09
B 0.7132 0.1483 0.9389  1 B 1.89, 6 Ni 2.02-2.09
B 0.2868 0.6483 0.5611  1 B 1.89, 6 Ni 2.02-2.09
B 0.2132 0.3517 0.0611  1 B 1.89, 6 Ni 2.02-2.09
B 0.0385 0.9808 0.9182  1 B 1.73
B 0.4615 0.0192 0.4182  1 B 1.73
B 0.5385 0.5192 0.0818  1 B 1.73
B 0.9615 0.4808 0.5818  1 B 1.73
B 0.9615 0.0192 0.0818  1 B 1.73
B 0.5385 0.9808 0.5818  1 B 1.73
B 0.4615 0.4808 0.9182  1 B 1.73
B 0.0385 0.5192 0.4182  1 B 1.73

total magnetic moment: 0.001 μB per atom
ΔE_f: -0.460 eV per atom